Record 1
## FeP4O12 (GGA+U)

Data for FeP4O12 after structural relaxation.

a b c (Å): 5.2655 13.6046 7.4816
angles (deg): 90.00 98.66 90.00
Space group P2_1 (No. 4)
Asymmetric unit:
Fe1 0.0071 0.0000 0.0133 (multiplicity 2)
P1 0.2918 0.5848 0.3743 (multiplicity 2)
P2 0.3617 0.9406 0.3981 (multiplicity 2)
P3 0.4803 0.3630 0.9380 (multiplicity 2)
P4 0.4871 0.1384 0.9475 (multiplicity 2)
O1 0.1150 0.5129 0.2613 (multiplicity 2)
O2 0.1332 0.9845 0.2778 (multiplicity 2)
O3 0.1468 0.6724 0.4311 (multiplicity 2)
O4 0.2146 0.3781 0.9843 (multiplicity 2)
O5 0.2213 0.1234 0.9919 (multiplicity 2)
O6 0.2937 0.5827 0.9460 (multiplicity 2)
O7 0.3037 0.9220 0.9605 (multiplicity 2)
O8 0.3274 0.8842 0.5632 (multiplicity 2)
O9 0.4364 0.7511 0.0314 (multiplicity 2)
O10 0.4425 0.5327 0.5471 (multiplicity 2)
O11 0.4694 0.3762 0.7234 (multiplicity 2)
O12 0.4785 0.1180 0.7330 (multiplicity 2)

E_form = -2.344 eV/atom
M_tot = 0.353 μB/atom
Energy relative to the lowest polymorph listed for this composition = 0.007 eV per atom
E = -6.991 eV per atom
Corrected total energy (MP2020 scheme) = -7.61 eV/atom

Record 2
## Li5Mn2P2C2O14 (GGA+U)

Data for Li5Mn2P2C2O14 after structural relaxation.

a b c (Å): 5.0932 6.5015 16.9427
angles (deg): 90.00 94.52 90.00
Space group P2_1/m (No. 11)
Asymmetric unit:
Li1 0.2401 0.2500 0.2991 (multiplicity 2)
Li2 0.2497 0.5014 0.6252 (multiplicity 4)
Li3 0.2522 0.5283 0.1181 (multiplicity 4)
Mn1 0.2060 0.7500 0.9217 (multiplicity 2)
Mn2 0.2244 0.7500 0.4202 (multiplicity 2)
P1 0.2730 0.2500 0.9582 (multiplicity 2)
P2 0.2786 0.2500 0.4590 (multiplicity 2)
C1 0.2883 0.7500 0.7682 (multiplicity 2)
C2 0.3011 0.7500 0.2732 (multiplicity 2)
O1 0.0442 0.7500 0.7822 (multiplicity 2)
O2 0.0707 0.7500 0.3031 (multiplicity 2)
O3 0.1592 0.0600 0.9125 (multiplicity 4)
O4 0.1750 0.2500 0.5419 (multiplicity 2)
O5 0.1795 0.0648 0.4070 (multiplicity 4)
O6 0.1903 0.2500 0.0451 (multiplicity 2)
O7 0.3219 0.7500 0.1996 (multiplicity 2)
O8 0.3634 0.7500 0.6960 (multiplicity 2)
O9 0.4133 0.7500 0.5312 (multiplicity 2)
O10 0.4187 0.7500 0.0375 (multiplicity 2)
O11 0.4680 0.7500 0.8278 (multiplicity 2)
O12 0.4959 0.2500 0.6737 (multiplicity 2)

E_form = -2.369 eV/atom
M_tot = 0.360 μB/atom
Energy relative to the lowest polymorph listed for this composition = 0.009 eV per atom
E = -6.908 eV per atom
Corrected total energy (MP2020 scheme) = -7.43 eV/atom

Record 3
## Li2Ni3SbO8 (GGA+U)

Data for Li2Ni3SbO8 after structural relaxation.

a b c (Å): 8.3609 8.3609 8.3609
angles (deg): 90.00 90.00 90.00
Space group P4_332 (No. 212)
Asymmetric unit:
Li1 0.0013 0.4987 0.5013 (multiplicity 8)
Ni1 0.1225 0.1275 0.6250 (multiplicity 12)
Sb1 0.1250 0.8750 0.3750 (multiplicity 4)
O1 0.1063 0.1150 0.3799 (multiplicity 24)
O2 0.1090 0.6090 0.8910 (multiplicity 8)

E_form = -1.533 eV/atom
M_tot = 0.214 μB/atom
Energy relative to the lowest polymorph listed for this composition = 0.021 eV per atom
E = -5.229 eV per atom
Corrected total energy (MP2020 scheme) = -6.17 eV/atom

Record 4
## Li3TiFe4O8 (GGA+U)

Data for Li3TiFe4O8 after structural relaxation.

a b c (Å): 10.3807 6.1011 6.0623
angles (deg): 90.00 125.66 90.00
Space group C2/m (No. 12)
Asymmetric unit:
Li1 0.0000 0.0000 0.0000 (multiplicity 2)
Li2 0.2500 0.2500 0.5000 (multiplicity 4)
Ti1 0.0000 0.5000 0.5000 (multiplicity 2)
Fe1 0.0000 0.0000 0.5000 (multiplicity 2)
Fe2 0.0000 0.5000 0.0000 (multiplicity 2)
Fe3 0.2500 0.2500 0.0000 (multiplicity 4)
O1 0.0049 0.2721 0.2610 (multiplicity 8)
O2 0.2333 0.5000 0.7443 (multiplicity 4)
O3 0.2453 0.5000 0.2457 (multiplicity 4)

E_form = -2.115 eV/atom
M_tot = 1.063 μB/atom
E = -6.651 eV per atom
Corrected total energy (MP2020 scheme) = -7.56 eV/atom

Record 5
## Li2VF6 (GGA+U)

Data for Li2VF6 after structural relaxation.

a b c (Å): 15.2099 8.7087 4.5302
angles (deg): 90.00 90.38 90.00
Space group C2 (No. 5)
Asymmetric unit:
Li1 0.0000 0.0000 0.0000 (multiplicity 2)
Li2 0.0000 0.3101 0.0000 (multiplicity 2)
Li3 0.1723 0.4848 0.0018 (multiplicity 4)
Li4 0.1723 0.8254 0.0022 (multiplicity 4)
V1 0.0000 0.6556 0.0000 (multiplicity 2)
V2 0.1666 0.1550 0.4975 (multiplicity 4)
F1 0.0532 0.4952 0.2142 (multiplicity 4)
F2 0.0531 0.8147 0.2139 (multiplicity 4)
F3 0.0633 0.1551 0.2494 (multiplicity 4)
F4 0.1065 0.6551 0.7882 (multiplicity 4)
F5 0.1161 0.0049 0.7363 (multiplicity 4)
F6 0.1160 0.3054 0.7365 (multiplicity 4)
F7 0.2180 0.0035 0.2537 (multiplicity 4)
F8 0.2179 0.3067 0.2537 (multiplicity 4)
F9 0.2310 0.6551 0.2592 (multiplicity 4)

E_form = -3.113 eV/atom
M_tot = 0.037 μB/atom
Energy relative to the lowest polymorph listed for this composition = 0.036 eV per atom
E = -5.326 eV per atom
Corrected total energy (MP2020 scheme) = -5.82 eV/atom

Record 6
## K6U5V2O23 (GGA+U)

Data for K6U5V2O23 after structural relaxation.

a b c (Å): 7.0913 25.0307 7.2171
angles (deg): 90.00 98.79 90.00
Space group P2_1/c (No. 14)
Asymmetric unit:
K1 0.0492 0.0393 0.2647 (multiplicity 4)
K2 0.1305 0.1134 0.7717 (multiplicity 4)
K3 0.2352 0.2073 0.2862 (multiplicity 4)
U1 0.3475 0.6422 0.4722 (multiplicity 4)
U2 0.4079 0.5813 0.9854 (multiplicity 4)
U3 0.5000 0.0000 0.0000 (multiplicity 2)
V1 0.2136 0.7032 0.9545 (multiplicity 4)
O1 0.0279 0.2073 0.5757 (multiplicity 4)
O2 0.0868 0.6275 0.4329 (multiplicity 4)
O3 0.1517 0.5588 0.9413 (multiplicity 4)
O4 0.2425 0.0213 0.9716 (multiplicity 4)
O5 0.2934 0.6620 0.7826 (multiplicity 4)
O6 0.3099 0.6633 0.1501 (multiplicity 4)
O7 0.3109 0.7336 0.4651 (multiplicity 4)
O8 0.3415 0.1076 0.4684 (multiplicity 4)
O9 0.3966 0.1618 0.0002 (multiplicity 4)
O10 0.4099 0.5681 0.3014 (multiplicity 4)
O11 0.4363 0.5707 0.6732 (multiplicity 4)
O12 0.5000 0.0000 0.5000 (multiplicity 2)

E_form = -3.130 eV/atom
E = -8.016 eV per atom
Corrected total energy (MP2020 scheme) = -8.55 eV/atom

Record 7
## Sr2CoO4 (GGA+U)

Data for Sr2CoO4 after structural relaxation.

a b c (Å): 12.2406 12.4670 5.4938
angles (deg): 90.00 115.88 90.00
Space group Cm (No. 8)
Asymmetric unit:
Sr1 0.0000 0.1412 0.0000 (multiplicity 4)
Sr2 0.2474 0.3569 0.2451 (multiplicity 4)
Sr3 0.2522 0.1426 0.7567 (multiplicity 4)
Sr4 0.4992 0.1437 0.4996 (multiplicity 4)
Co1 0.9999 0.5000 0.0016 (multiplicity 2)
Co2 0.2485 0.0000 0.2493 (multiplicity 2)
Co3 0.2514 0.5000 0.7545 (multiplicity 2)
Co4 0.4991 0.5000 0.5006 (multiplicity 2)
O1 0.9997 0.3397 0.9995 (multiplicity 4)
O2 0.1144 0.5000 0.3409 (multiplicity 2)
O3 0.1188 0.0000 0.8618 (multiplicity 2)
O4 0.1309 0.5000 0.8539 (multiplicity 2)
O5 0.1368 0.0000 0.3773 (multiplicity 2)
O6 0.2495 0.3411 0.7478 (multiplicity 4)
O7 0.2510 0.1592 0.2533 (multiplicity 4)
O8 0.3637 0.5000 0.6251 (multiplicity 2)
O9 0.3682 0.0000 0.1427 (multiplicity 2)
O10 0.3788 0.5000 0.1335 (multiplicity 2)
O11 0.3856 0.0000 0.6594 (multiplicity 2)
O12 0.4981 0.3485 0.4965 (multiplicity 4)

E_form = -2.352 eV/atom
M_tot = 0.000 μB/atom
Energy relative to the lowest polymorph listed for this composition = 0.000 eV per atom
E = -6.051 eV per atom
Corrected total energy (MP2020 scheme) = -6.68 eV/atom

Record 8
## BaNaSbWO6 (GGA+U)

Data for BaNaSbWO6 after structural relaxation.

a b c (Å): 8.4557 8.4557 8.4557
angles (deg): 90.00 90.00 90.00
Space group F-43m (No. 216)
Asymmetric unit:
Ba1 0.0000 0.0000 0.0000 (multiplicity 4)
Na1 0.0000 0.0000 0.5000 (multiplicity 4)
Sb1 0.2500 0.2500 0.7500 (multiplicity 4)
W1 0.2500 0.2500 0.2500 (multiplicity 4)
O1 0.0187 0.2500 0.2500 (multiplicity 24)

E_form = -2.252 eV/atom
M_tot = 0.000 μB/atom
E = -6.397 eV per atom
Corrected total energy (MP2020 scheme) = -7.25 eV/atom